1.
Na3AsSO15 | PBE | relaxed

Summary:
total energy: -387.88 eV per cell
ΔH_f (0 K): -0.50 eV per atom

a b c (Å): 7.721 13.978 15.023
angles (deg): 90.00 90.00 90.00
Fractional coordinates of all 80 atoms:
Na  0.249  0.707  0.386
Na  0.870  0.519  0.068
Na  0.896  0.315  0.376
Na  0.749  0.793  0.614
Na  0.751  0.207  0.114
Na  0.370  0.981  0.932
Na  0.251  0.293  0.886
Na  0.104  0.815  0.124
Na  0.130  0.019  0.432
Na  0.396  0.185  0.624
Na  0.604  0.685  0.876
Na  0.630  0.481  0.568
O  0.469  0.818  0.941
O  0.061  0.352  0.619
O  0.123  0.146  0.017
O  0.040  0.182  0.531
O  0.953  0.326  0.929
O  0.645  0.388  0.436
O  0.417  0.564  0.857
O  0.561  0.148  0.381
O  0.855  0.612  0.936
O  0.313  0.581  0.292
O  0.939  0.852  0.881
O  0.656  0.397  0.175
O  0.534  0.641  0.507
O  0.583  0.064  0.643
O  0.200  0.071  0.751
O  0.076  0.487  0.171
O  0.576  0.013  0.829
O  0.453  0.174  0.071
O  0.377  0.854  0.517
O  0.032  0.900  0.931
O  0.482  0.255  0.785
O  0.538  0.869  0.511
O  0.532  0.600  0.069
O  0.969  0.682  0.059
O  0.813  0.919  0.708
O  0.047  0.826  0.571
O  0.031  0.182  0.441
O  0.924  0.987  0.329
O  0.038  0.631  0.489
O  0.982  0.245  0.215
O  0.540  0.318  0.469
O  0.439  0.648  0.119
O  0.355  0.888  0.064
O  0.034  0.859  0.493
O  0.547  0.674  0.429
O  0.844  0.603  0.675
O  0.531  0.318  0.559
O  0.800  0.571  0.749
O  0.462  0.369  0.989
O  0.917  0.936  0.143
O  0.466  0.141  0.993
O  0.518  0.755  0.715
O  0.083  0.436  0.357
O  0.018  0.745  0.285
O  0.968  0.400  0.569
O  0.687  0.081  0.208
O  0.623  0.354  0.983
O  0.424  0.513  0.671
O  0.877  0.646  0.483
O  0.145  0.112  0.564
O  0.187  0.419  0.792
O  0.966  0.359  0.007
O  0.344  0.897  0.325
O  0.468  0.100  0.431
O  0.960  0.682  0.969
O  0.700  0.429  0.249
O  0.156  0.103  0.825
O  0.300  0.929  0.251
O  0.460  0.818  0.031
O  0.962  0.131  0.011
As  0.842  0.001  0.228
As  0.342  0.499  0.772
As  0.158  0.501  0.272
As  0.658  0.999  0.728
S  0.824  0.751  0.303
S  0.176  0.251  0.197
S  0.324  0.749  0.697
S  0.676  0.249  0.803

2.
Na3AsS4O8 | PBE | relaxed

Summary:
energy above the most stable polymorph in this dataset: 0 meV per atom
total energy: -316.82 eV per cell
ΔH_f (0 K): -1.14 eV per atom

a b c (Å): 9.633 11.032 11.871
angles (deg): 90.00 98.94 90.00
Fractional coordinates of all 64 atoms:
O  0.413  0.434  0.151
O  0.837  0.129  0.681
O  0.782  0.620  0.529
O  0.471  0.112  0.955
O  0.218  0.380  0.471
O  0.250  0.690  0.634
O  0.153  0.827  0.021
O  0.837  0.371  0.181
O  0.093  0.403  0.068
O  0.888  0.012  0.250
O  0.153  0.673  0.521
O  0.529  0.612  0.545
O  0.250  0.810  0.134
O  0.888  0.488  0.750
O  0.529  0.888  0.045
O  0.471  0.388  0.455
O  0.163  0.871  0.319
O  0.750  0.310  0.366
O  0.587  0.934  0.349
O  0.112  0.988  0.750
O  0.907  0.903  0.432
O  0.218  0.120  0.971
O  0.163  0.629  0.819
O  0.847  0.173  0.979
O  0.413  0.066  0.651
O  0.782  0.880  0.029
O  0.112  0.512  0.250
O  0.093  0.097  0.568
O  0.750  0.190  0.866
O  0.847  0.327  0.479
O  0.587  0.566  0.849
O  0.907  0.597  0.932
Na  0.309  0.918  0.918
Na  0.115  0.871  0.559
Na  0.885  0.371  0.941
Na  0.309  0.582  0.418
Na  0.691  0.418  0.582
Na  0.500  0.000  0.500
Na  0.885  0.129  0.441
Na  0.500  0.500  0.000
Na  0.115  0.629  0.059
Na  0.000  0.000  0.000
Na  0.000  0.500  0.500
Na  0.691  0.082  0.082
As  0.706  0.706  0.235
As  0.706  0.794  0.735
As  0.294  0.206  0.265
As  0.294  0.294  0.765
S  0.652  0.693  0.537
S  0.443  0.202  0.673
S  0.227  0.922  0.219
S  0.086  0.391  0.193
S  0.557  0.702  0.827
S  0.914  0.609  0.807
S  0.914  0.891  0.307
S  0.227  0.578  0.719
S  0.773  0.078  0.781
S  0.348  0.307  0.463
S  0.557  0.798  0.327
S  0.652  0.807  0.037
S  0.773  0.422  0.281
S  0.348  0.193  0.963
S  0.443  0.298  0.173
S  0.086  0.109  0.693

3.
Na2ThAs2O8 | PBE | relaxed

Summary:
total energy: -172.20 eV per cell
ΔH_f (0 K): -2.51 eV per atom

a b c (Å): 11.149 9.922 7.178
angles (deg): 79.62 61.09 39.29
Fractional coordinates of all 26 atoms:
O  0.740  0.021  0.330
O  0.330  0.909  0.740
O  0.070  0.957  0.638
O  0.612  0.916  0.180
O  0.510  0.229  0.920
O  0.957  0.070  0.334
O  0.916  0.612  0.293
O  0.920  0.341  0.510
O  0.341  0.920  0.229
O  0.229  0.510  0.341
O  0.909  0.330  0.021
O  0.180  0.293  0.612
O  0.334  0.638  0.957
O  0.638  0.334  0.070
O  0.021  0.740  0.909
O  0.293  0.180  0.916
Th  0.250  0.250  0.250
Th  0.000  0.000  0.000
Na  0.643  0.643  0.357
Na  0.893  0.893  0.607
Na  0.607  0.607  0.893
Na  0.357  0.357  0.643
As  0.179  0.179  0.821
As  0.429  0.429  0.071
As  0.821  0.821  0.179
As  0.071  0.071  0.429

4.
NaTi2As3O12 | PBE | relaxed

Summary:
total energy: -249.33 eV per cell
ΔH_f (0 K): -2.36 eV per atom

a b c (Å): 9.179 9.179 9.179
angles (deg): 58.70 58.70 58.70
Fractional coordinates of all 36 atoms:
O  0.354  0.215  0.996
O  0.068  0.942  0.731
O  0.215  0.996  0.354
O  0.785  0.004  0.646
O  0.004  0.646  0.785
O  0.715  0.854  0.496
O  0.496  0.715  0.854
O  0.285  0.146  0.504
O  0.646  0.785  0.004
O  0.996  0.354  0.215
O  0.942  0.731  0.068
O  0.269  0.932  0.058
O  0.058  0.269  0.932
O  0.442  0.568  0.231
O  0.932  0.058  0.269
O  0.432  0.769  0.558
O  0.504  0.285  0.146
O  0.558  0.432  0.769
O  0.231  0.442  0.568
O  0.146  0.504  0.285
O  0.731  0.068  0.942
O  0.568  0.231  0.442
O  0.769  0.558  0.432
O  0.854  0.496  0.715
Ti  0.643  0.643  0.643
Ti  0.857  0.857  0.857
Ti  0.143  0.143  0.143
Ti  0.357  0.357  0.357
As  0.250  0.963  0.537
As  0.537  0.250  0.963
As  0.963  0.537  0.250
As  0.750  0.037  0.463
As  0.037  0.463  0.750
As  0.463  0.750  0.037
Na  0.000  0.000  0.000
Na  0.500  0.500  0.500

5.
NaTiAsO5 | PBE | relaxed

Summary:
total energy: -221.61 eV per cell
ΔH_f (0 K): -2.53 eV per atom

a b c (Å): 8.910 6.839 7.308
angles (deg): 65.04 90.00 90.00
Fractional coordinates of all 32 atoms:
O  0.312  0.438  0.088
O  0.317  0.055  0.417
O  0.314  0.749  0.252
O  0.461  0.645  0.615
O  0.186  0.749  0.752
O  0.539  0.355  0.385
O  0.183  0.055  0.917
O  0.817  0.945  0.083
O  0.961  0.355  0.885
O  0.188  0.438  0.588
O  0.688  0.562  0.912
O  0.039  0.645  0.115
O  0.459  0.849  0.887
O  0.683  0.945  0.583
O  0.686  0.251  0.748
O  0.041  0.849  0.387
O  0.812  0.562  0.412
O  0.541  0.151  0.113
O  0.814  0.251  0.248
O  0.959  0.151  0.613
Ti  0.257  0.749  0.480
Ti  0.243  0.749  0.980
Ti  0.743  0.251  0.520
Ti  0.757  0.251  0.020
As  0.067  0.250  0.751
As  0.433  0.250  0.251
As  0.567  0.750  0.749
As  0.933  0.750  0.249
Na  0.925  0.751  0.738
Na  0.075  0.249  0.262
Na  0.425  0.249  0.762
Na  0.575  0.751  0.238

6.
Na3Zn3As3O16 | PBE | relaxed

Summary:
total energy: -249.47 eV per cell
ΔH_f (0 K): -1.39 eV per atom

a b c (Å): 9.328 9.328 9.328
angles (deg): 90.55 90.55 90.55
Fractional coordinates of all 50 atoms:
O  0.945  0.945  0.945
O  0.588  0.148  0.872
O  0.578  0.578  0.423
O  0.856  0.129  0.584
O  0.631  0.653  0.917
O  0.584  0.856  0.129
O  0.131  0.417  0.153
O  0.917  0.631  0.653
O  0.578  0.423  0.578
O  0.445  0.445  0.445
O  0.411  0.849  0.874
O  0.417  0.153  0.131
O  0.911  0.374  0.349
O  0.084  0.629  0.356
O  0.078  0.078  0.923
O  0.423  0.578  0.578
O  0.849  0.874  0.411
O  0.078  0.923  0.078
O  0.648  0.088  0.372
O  0.653  0.917  0.631
O  0.923  0.078  0.078
O  0.088  0.372  0.648
O  0.629  0.356  0.084
O  0.372  0.648  0.088
O  0.874  0.411  0.849
O  0.374  0.349  0.911
O  0.129  0.584  0.856
O  0.148  0.872  0.588
O  0.153  0.131  0.417
O  0.356  0.084  0.629
O  0.872  0.588  0.148
O  0.349  0.911  0.374
Na  0.171  0.828  0.831
Na  0.671  0.331  0.328
Na  0.331  0.328  0.671
Na  0.328  0.671  0.331
Na  0.831  0.171  0.828
Na  0.828  0.831  0.171
Zn  0.751  0.502  0.992
Zn  0.251  0.492  0.002
Zn  0.502  0.992  0.751
Zn  0.002  0.251  0.492
Zn  0.992  0.751  0.502
Zn  0.492  0.002  0.251
As  0.001  0.500  0.749
As  0.749  0.001  0.500
As  0.249  0.000  0.501
As  0.500  0.749  0.001
As  0.501  0.249  0.000
As  0.000  0.501  0.249

7.
Na5SiAs3 | PBE | relaxed

Summary:
total energy: -119.15 eV per cell
ΔH_f (0 K): -0.42 eV per atom

a b c (Å): 7.575 8.261 15.790
angles (deg): 58.92 90.00 90.00
Fractional coordinates of all 36 atoms:
As  0.235  0.193  0.224
As  0.238  0.760  0.580
As  0.765  0.807  0.776
As  0.683  0.523  0.566
As  0.735  0.807  0.276
As  0.183  0.477  0.934
As  0.817  0.523  0.066
As  0.738  0.240  0.920
As  0.317  0.477  0.434
As  0.762  0.240  0.420
As  0.262  0.760  0.080
As  0.265  0.193  0.724
Na  0.518  0.912  0.413
Na  0.982  0.912  0.913
Na  0.337  0.158  0.919
Na  0.850  0.166  0.258
Na  0.994  0.561  0.257
Na  0.494  0.439  0.243
Na  0.018  0.088  0.087
Na  0.150  0.834  0.742
Na  0.467  0.748  0.916
Na  0.967  0.252  0.584
Na  0.650  0.166  0.758
Na  0.482  0.088  0.587
Na  0.006  0.439  0.743
Na  0.033  0.748  0.416
Na  0.837  0.842  0.581
Na  0.163  0.158  0.419
Na  0.663  0.842  0.081
Na  0.506  0.561  0.757
Na  0.350  0.834  0.242
Na  0.533  0.252  0.084
Si  0.640  0.514  0.415
Si  0.140  0.486  0.085
Si  0.860  0.514  0.915
Si  0.360  0.486  0.585

8.
Na2Zn3SiAs4 | PBE | relaxed

Summary:
total energy: -33.33 eV per cell
ΔH_f (0 K): -0.28 eV per atom

a b c (Å): 8.528 8.528 7.129
angles (deg): 65.39 65.39 27.70
Fractional coordinates of all 10 atoms:
Zn  0.816  0.816  0.503
Zn  0.322  0.322  0.028
Zn  0.195  0.195  0.482
Si  0.689  0.689  0.964
As  0.371  0.371  0.300
As  0.134  0.134  0.191
As  0.629  0.629  0.710
As  0.850  0.850  0.812
Na  0.995  0.995  0.006
Na  0.493  0.493  0.505

9.
NaSr2Sn6As6 | PBE | relaxed

Summary:
total energy: -63.69 eV per cell
ΔH_f (0 K): -0.47 eV per atom

a b c (Å): 7.245 7.245 9.521
angles (deg): 82.68 82.68 120.00
Fractional coordinates of all 15 atoms:
As  0.926  0.258  0.223
As  0.742  0.074  0.777
As  0.594  0.594  0.222
As  0.074  0.742  0.777
As  0.258  0.926  0.223
As  0.406  0.406  0.778
Sn  0.875  0.541  0.373
Sn  0.541  0.875  0.373
Sn  0.459  0.125  0.627
Sn  0.125  0.459  0.627
Sn  0.210  0.210  0.373
Sn  0.790  0.790  0.627
Sr  0.667  0.333  0.000
Sr  0.333  0.667  0.000
Na  0.000  0.000  0.000

10.
NaSrAs | PBE | relaxed

Summary:
total energy: -30.84 eV per cell
maximum piezoelectric response: 0.21 C/m²
ΔH_f (0 K): -0.87 eV per atom

a b c (Å): 4.616 7.892 7.892
angles (deg): 120.00 90.00 90.00
Fractional coordinates of all 9 atoms:
Na  0.000  0.242  0.242
Na  0.000  0.000  0.758
Na  0.000  0.758  0.000
As  0.000  0.333  0.667
As  0.500  0.000  0.000
As  0.000  0.667  0.333
Sr  0.500  0.585  0.585
Sr  0.500  0.415  0.000
Sr  0.500  0.000  0.415